Material: Li2Ti2MnCr2P6O24
Method: DFT, PBE with a Hubbard U
State: relaxed

Values from the calculation:
* total energy: -7.589 eV per atom
* formation energy from the elements: -270 kJ/mol of atoms

Cell lengths 8.6224, 8.6435, 14.9349 Å; angles 90.22, 106.54, 119.92 degrees
Sites, in units of the cell vectors:
Li1 0.0000 0.0000 0.0000
Li2 0.1301 0.7613 0.1252
Li3 0.3842 0.0933 0.3039
Li4 0.6492 0.5348 0.3760
Ti1 0.2844 0.5636 0.0546
Ti2 0.4995 0.7343 0.4462
Ti3 0.7916 0.3125 0.3023
Ti4 0.9931 0.4923 0.6956
Mn1 0.1456 0.2724 0.6257
Mn2 0.6275 0.0191 0.8680
Cr1 0.2827 0.0561 0.5541
Cr2 0.5000 0.2392 0.9449
Cr3 0.7814 0.8068 0.8026
Cr4 0.9967 0.9839 0.1965
P1 0.1015 0.7539 0.3553
P2 0.1025 0.2537 0.8542
P3 0.1820 0.7969 0.8969
P4 0.1868 0.2913 0.3960
P5 0.3912 0.2533 0.1437
P6 0.3908 0.7529 0.6456
P7 0.5963 0.3569 0.7492
P8 0.5989 0.8570 0.2499
P9 0.6802 0.1862 0.4996
P10 0.6822 0.6882 0.0000
P11 0.8903 0.2879 0.1003
P12 0.8901 0.7974 0.6042
O1 0.0164 0.3214 0.3704
O2 0.0260 0.8399 0.8850
O3 0.0543 0.4742 0.0950
O4 0.0557 0.9798 0.5957
O5 0.0756 0.3176 0.7566
O6 0.1032 0.8334 0.2619
O7 0.1312 0.8846 0.4355
O8 0.1323 0.6563 0.8121
O9 0.1446 0.3938 0.9358
O10 0.1624 0.1586 0.3176
O11 0.1953 0.2251 0.4925
O12 0.2038 0.7241 0.9909
O13 0.2225 0.0695 0.1513
O14 0.2263 0.5655 0.6538
O15 0.2598 0.2137 0.8701
O16 0.2657 0.7173 0.3774
O17 0.3331 0.8925 0.6294
O18 0.3372 0.3981 0.1240
O19 0.3739 0.4692 0.4064
O20 0.3752 0.9646 0.9015
O21 0.4045 0.2560 0.6671
O22 0.4070 0.7558 0.1670
O23 0.4431 0.2064 0.0629
O24 0.4497 0.7127 0.5646
O25 0.5181 0.6758 0.0278
O26 0.5208 0.1800 0.5269
O27 0.5466 0.3189 0.2429
O28 0.5551 0.8311 0.7427
O29 0.5778 0.7490 0.3328
O30 0.5853 0.2436 0.8302
O31 0.6303 0.0467 0.2777
O32 0.6323 0.5427 0.7784
O33 0.6398 0.9940 0.4726
O34 0.6492 0.5037 0.9716
O35 0.6887 0.2848 0.4123
O36 0.7056 0.8091 0.9204
O37 0.7240 0.2118 0.0052
O38 0.7274 0.7146 0.5082
O39 0.7606 0.3706 0.7187
O40 0.7616 0.8681 0.2242
O41 0.8328 0.3234 0.1845
O42 0.8367 0.8410 0.6851
O43 0.8765 0.2894 0.5798
O44 0.8794 0.7975 0.0790
O45 0.9085 0.5757 0.3408
O46 0.9127 0.0815 0.8543
O47 0.9466 0.1453 0.1144
O48 0.9488 0.6533 0.6254

Material: NaLaEuWO6
Method: DFT, PBE with a Hubbard U
State: relaxed

Values from the calculation:
* total energy: -7.838 eV per atom
* formation energy from the elements: -268 kJ/mol of atoms

Cell lengths 6.0687, 6.0687, 6.0687 Å; angles 60.00, 60.00, 60.00 degrees
Sites, in units of the cell vectors:
Na1 0.0000 0.0000 0.0000
La1 0.2500 0.2500 0.2500
Eu1 0.5000 0.5000 0.5000
W1 0.7500 0.7500 0.7500
O1 0.5231 0.5231 0.9769
O2 0.5231 0.9769 0.5231
O3 0.5231 0.9769 0.9769
O4 0.9769 0.5231 0.5231
O5 0.9769 0.5231 0.9769
O6 0.9769 0.9769 0.5231

Material: K2NiPCO7
Method: DFT, PBE with a Hubbard U
State: relaxed

Values from the calculation:
* total energy: -6.251 eV per atom
* formation energy from the elements: -202 kJ/mol of atoms

Cell lengths 5.4284, 7.0469, 9.5895 Å; angles 90.00, 90.29, 90.00 degrees
Sites, in units of the cell vectors:
K1 0.2459 0.0263 0.2461
K2 0.2459 0.4737 0.2461
K3 0.7541 0.5263 0.7539
K4 0.7541 0.9737 0.7539
Ni1 0.2265 0.2500 0.8591
Ni2 0.7735 0.7500 0.1409
P1 0.2808 0.7500 0.9290
P2 0.7192 0.2500 0.0710
C1 0.2720 0.2500 0.6020
C2 0.7280 0.7500 0.3980
O1 0.0604 0.2500 0.6648
O2 0.1153 0.7500 0.0595
O3 0.2370 0.5701 0.8393
O4 0.2370 0.9299 0.8393
O5 0.2941 0.2500 0.4722
O6 0.4411 0.2500 0.0256
O7 0.4591 0.2500 0.6878
O8 0.5409 0.7500 0.3122
O9 0.5589 0.7500 0.9744
O10 0.7059 0.7500 0.5278
O11 0.7630 0.0701 0.1607
O12 0.7630 0.4299 0.1607
O13 0.8847 0.2500 0.9405
O14 0.9396 0.7500 0.3352

Material: BaCoO2
Method: DFT, PBE with a Hubbard U
State: relaxed

Values from the calculation:
* total energy: -6.059 eV per atom
* formation energy from the elements: -201 kJ/mol of atoms
* largest piezoelectric modulus: 1.504 C/m2

Cell lengths 5.9143, 5.9143, 6.8939 Å; angles 90.00, 90.00, 120.00 degrees
Sites, in units of the cell vectors:
Ba1 0.0000 0.3467 0.1667
Ba2 0.3467 0.0000 0.8333
Ba3 0.6533 0.6533 0.5000
Co1 0.0000 0.4012 0.6667
Co2 0.4012 0.0000 0.3333
Co3 0.5988 0.5988 0.0000
O1 0.1280 0.6973 0.4625
O2 0.3027 0.4308 0.7958
O3 0.4308 0.3027 0.2042
O4 0.5692 0.8720 0.1291
O5 0.6973 0.1280 0.5375
O6 0.8720 0.5692 0.8709

Material: Fe3Si2O9
Method: DFT, PBE with a Hubbard U
State: relaxed

Values from the calculation:
* total energy: -6.988 eV per atom
* formation energy from the elements: -207 kJ/mol of atoms

Cell lengths 5.2934, 5.2934, 14.4797 Å; angles 90.63, 90.63, 119.27 degrees
Sites, in units of the cell vectors:
Fe1 0.0000 0.0000 0.0000
Fe2 0.0000 0.0000 0.5000
Fe3 0.3339 0.6661 0.0000
Fe4 0.3438 0.6562 0.5000
Fe5 0.6562 0.3438 0.5000
Fe6 0.6661 0.3339 0.0000
Si1 0.0033 0.6672 0.3037
Si2 0.3328 0.9967 0.6963
Si3 0.6672 0.0033 0.3037
Si4 0.9967 0.3328 0.6963
O1 0.0084 0.6700 0.4203
O2 0.0123 0.6818 0.9344
O3 0.1482 0.6667 0.7318
O4 0.1860 0.1860 0.7309
O5 0.3156 0.3156 0.4333
O6 0.3182 0.9877 0.0656
O7 0.3300 0.9916 0.5797
O8 0.3333 0.8518 0.2682
O9 0.3461 0.3461 0.9336
O10 0.6539 0.6539 0.0664
O11 0.6667 0.1482 0.7318
O12 0.6700 0.0084 0.4203
O13 0.6818 0.0123 0.9344
O14 0.6844 0.6844 0.5667
O15 0.8140 0.8140 0.2691
O16 0.8518 0.3333 0.2682
O17 0.9877 0.3182 0.0656
O18 0.9916 0.3300 0.5797

Material: SrCeEuCrO6
Method: DFT, PBE with a Hubbard U
State: relaxed

Values from the calculation:
* total energy: -8.146 eV per atom
* formation energy from the elements: -293 kJ/mol of atoms

Cell lengths 5.8581, 5.8581, 5.8581 Å; angles 60.00, 60.00, 60.00 degrees
Sites, in units of the cell vectors:
Sr1 0.0000 0.0000 0.0000
Ce1 0.2500 0.2500 0.2500
Eu1 0.5000 0.5000 0.5000
Cr1 0.7500 0.7500 0.7500
O1 0.5146 0.5146 0.9854
O2 0.5146 0.9854 0.5146
O3 0.5146 0.9854 0.9854
O4 0.9854 0.5146 0.5146
O5 0.9854 0.5146 0.9854
O6 0.9854 0.9854 0.5146

Material: Sr2ZrCrO6
Method: DFT, PBE with a Hubbard U
State: relaxed

Values from the calculation:
* total energy: -7.633 eV per atom
* formation energy from the elements: -301 kJ/mol of atoms

Cell lengths 8.0820, 8.0868, 9.8386 Å; angles 114.26, 65.76, 89.99 degrees
Sites, in units of the cell vectors:
O1 0.7389 0.5003 0.9999
Zr1 0.2500 0.7500 0.4999
O2 0.2387 0.0000 0.9999
Sr1 0.3748 0.1251 0.7501
O3 0.4998 0.2559 0.9999
Sr2 0.1250 0.3751 0.2499
O4 0.0000 0.2442 0.0002
O5 0.8808 0.1192 0.2385
O6 0.5003 0.7440 0.0000
O7 0.0060 0.2499 0.5002
O8 0.2497 0.0109 0.4998
Sr3 0.8751 0.6250 0.7501
O9 0.7496 0.9889 0.5001
Cr1 0.7499 0.7501 0.5001
O10 0.1192 0.8808 0.7616
Cr2 0.0000 0.0000 0.0001
Zr2 0.0000 0.5000 0.0000
O11 0.2612 0.4996 0.9999
Sr4 0.1249 0.8747 0.2501
O12 0.6308 0.8692 0.7384
O13 0.8691 0.6309 0.2617
Zr3 0.7501 0.2499 0.4998
O14 0.9999 0.7560 0.0002
O15 0.5060 0.7504 0.5001
O16 0.1309 0.3691 0.7383
O17 0.3692 0.1308 0.2616
O18 0.3809 0.6192 0.2383
Sr5 0.8750 0.1249 0.7499
O19 0.9939 0.7496 0.5000
Zr4 0.5000 0.0000 0.0001
Cr3 0.2499 0.2500 0.5000
Sr6 0.6250 0.3754 0.2501
O20 0.2505 0.4889 0.4998
O21 0.6192 0.3807 0.7615
O22 0.7503 0.5112 0.5001
Sr7 0.3751 0.6250 0.7499
O23 0.4937 0.2504 0.5002
Sr8 0.6250 0.8748 0.2499
O24 0.7614 0.9999 0.9999
Cr4 0.5000 0.5000 0.9999

Material: Li2VF5
Method: DFT, PBE with a Hubbard U
State: relaxed

Values from the calculation:
* total energy: -5.515 eV per atom
* formation energy from the elements: -309 kJ/mol of atoms

Cell lengths 5.7878, 5.7878, 7.3022 Å; angles 109.09, 109.09, 52.50 degrees
Sites, in units of the cell vectors:
Li1 0.1299 0.1539 0.2443
Li2 0.1539 0.1299 0.7443
Li3 0.8461 0.8701 0.2557
Li4 0.8701 0.8461 0.7557
V1 0.5000 0.5000 0.0000
V2 0.5000 0.5000 0.5000
F1 0.0943 0.7381 0.5445
F2 0.1699 0.4708 0.8525
F3 0.2619 0.9057 0.9555
F4 0.3143 0.6857 0.2500
F5 0.4708 0.1699 0.3525
F6 0.5292 0.8301 0.6475
F7 0.6857 0.3143 0.7500
F8 0.7381 0.0943 0.0445
F9 0.8301 0.5292 0.1475
F10 0.9057 0.2619 0.4555

Material: Li4Mn3Cr3Te2O16
Method: DFT, PBE with a Hubbard U
State: relaxed

Values from the calculation:
* total energy: -6.633 eV per atom
* formation energy from the elements: -201 kJ/mol of atoms

Cell lengths 6.0497, 6.0497, 9.8168 Å; angles 91.55, 91.55, 59.53 degrees
Sites, in units of the cell vectors:
Li1 0.0000 0.0000 0.0000
Li2 0.0089 0.0089 0.5027
Li3 0.3421 0.3421 0.5784
Li4 0.6672 0.6672 0.0838
Mn1 0.1695 0.1695 0.2766
Mn2 0.3438 0.8290 0.7758
Mn3 0.8290 0.3438 0.7758
Cr1 0.1701 0.6668 0.2749
Cr2 0.6668 0.1701 0.2749
Cr3 0.8311 0.8311 0.7730
Te1 0.3321 0.3321 0.0055
Te2 0.6745 0.6745 0.5017
O1 0.0016 0.0016 0.6922
O2 0.0050 0.0050 0.1836
O3 0.0413 0.4900 0.1375
O4 0.1662 0.6556 0.9028
O5 0.1688 0.1688 0.9010
O6 0.3239 0.8417 0.3918
O7 0.3343 0.3343 0.3724
O8 0.4803 0.4803 0.1437
O9 0.4900 0.0413 0.1375
O10 0.5267 0.5267 0.6382
O11 0.5356 0.9768 0.6402
O12 0.6556 0.1662 0.9028
O13 0.6722 0.6722 0.8754
O14 0.8417 0.3239 0.3918
O15 0.8504 0.8504 0.3873
O16 0.9768 0.5356 0.6402

Material: Li4Ti3Mn3Cr2O16
Method: DFT, PBE with a Hubbard U
State: relaxed

Values from the calculation:
* total energy: -7.506 eV per atom
* formation energy from the elements: -251 kJ/mol of atoms

Cell lengths 5.8947, 5.8947, 9.5842 Å; angles 90.33, 90.33, 60.96 degrees
Sites, in units of the cell vectors:
Li1 0.0000 0.0000 0.0000
Li2 0.0073 0.0073 0.4984
Li3 0.3389 0.3389 0.8967
Li4 0.6796 0.6796 0.3935
Ti1 0.1754 0.1754 0.2149
Ti2 0.3461 0.8400 0.7177
Ti3 0.8400 0.3461 0.7177
Mn1 0.1802 0.6668 0.2168
Mn2 0.6668 0.1802 0.2168
Mn3 0.8392 0.8392 0.7150
Cr1 0.3477 0.3477 0.4857
Cr2 0.6729 0.6729 0.9896
O1 0.0047 0.0047 0.8124
O2 0.0059 0.0059 0.3114
O3 0.0531 0.4867 0.3399
O4 0.1745 0.1745 0.6100
O5 0.1899 0.6809 0.6017
O6 0.3300 0.8467 0.1068
O7 0.3402 0.3402 0.1088
O8 0.4867 0.0531 0.3399
O9 0.4929 0.4929 0.3450
O10 0.5163 0.9645 0.8484
O11 0.5254 0.5254 0.8384
O12 0.6778 0.6778 0.6095
O13 0.6809 0.1899 0.6017
O14 0.8395 0.8395 0.1050
O15 0.8467 0.3300 0.1068
O16 0.9645 0.5163 0.8484

Material: Li9Mn2Co5O16
Method: DFT, PBE with a Hubbard U
State: relaxed

Values from the calculation:
* total energy: -5.814 eV per atom
* formation energy from the elements: -176 kJ/mol of atoms

Cell lengths 4.9947, 5.9348, 10.1712 Å; angles 105.14, 100.07, 91.36 degrees
Sites, in units of the cell vectors:
Li1 0.0000 0.0000 0.0000
Li2 0.2449 0.8759 0.7546
Li3 0.2459 0.8776 0.2452
Li4 0.2502 0.3806 0.7540
Li5 0.2515 0.3683 0.2463
Li6 0.7485 0.6317 0.7537
Li7 0.7498 0.6194 0.2460
Li8 0.7541 0.1224 0.7548
Li9 0.7551 0.1241 0.2454
Mn1 0.0000 0.5000 0.0000
Mn2 0.0000 0.5000 0.5000
Co1 0.0000 0.0000 0.5000
Co2 0.4987 0.2416 0.0003
Co3 0.5003 0.2479 0.5003
Co4 0.4997 0.7521 0.4997
Co5 0.5013 0.7584 0.9997
O1 0.1360 0.6811 0.8889
O2 0.1368 0.1678 0.3813
O3 0.1386 0.6757 0.3826
O4 0.1412 0.2179 0.8926
O5 0.3574 0.0508 0.6128
O6 0.3642 0.5519 0.6155
O7 0.3642 0.5705 0.1110
O8 0.3954 0.0675 0.1132
O9 0.6046 0.9325 0.8868
O10 0.6358 0.4295 0.8890
O11 0.6358 0.4481 0.3845
O12 0.6426 0.9492 0.3872
O13 0.8588 0.7821 0.1074
O14 0.8614 0.3243 0.6174
O15 0.8632 0.8322 0.6187
O16 0.8640 0.3189 0.1111

Material: MgFe8O8F8
Method: DFT, PBE with a Hubbard U
State: relaxed

Values from the calculation:
* total energy: -5.954 eV per atom
* formation energy from the elements: -200 kJ/mol of atoms

Cell lengths 5.0951, 5.1905, 11.8267 Å; angles 88.25, 89.75, 87.42 degrees
Sites, in units of the cell vectors:
Mg1 0.0000 0.0000 0.0000
Fe1 0.0945 0.5701 0.3716
Fe2 0.0970 0.5428 0.8586
Fe3 0.4650 0.0476 0.4914
Fe4 0.4671 0.0356 0.7437
Fe5 0.4866 0.0536 0.9952
Fe6 0.5818 0.9475 0.2467
Fe7 0.9552 0.4048 0.6163
Fe8 0.9779 0.4554 0.1306
O1 0.1823 0.3312 0.9902
O2 0.1950 0.3202 0.4934
O3 0.2113 0.3245 0.7386
O4 0.2828 0.8555 0.8729
O5 0.3454 0.8340 0.3709
O6 0.6838 0.1614 0.6183
O7 0.7358 0.1302 0.1176
O8 0.8343 0.6650 0.2570
F1 0.2552 0.3306 0.2559
F2 0.2797 0.8434 0.1195
F3 0.3130 0.8375 0.6220
F4 0.7146 0.1604 0.3713
F5 0.7309 0.1509 0.8598
F6 0.8075 0.6911 0.9757
F7 0.8149 0.6512 0.7421
F8 0.8356 0.6758 0.5013